# 1
The following is a r2SCAN calculation of an optimized crystal structure of Lu, from the Materials Project.

Lattice parameters (Å, degrees): 8.720 8.720 8.720 23.03 23.03 23.03
Fractional positions:
Lu  0.000  0.000  0.000
Lu  0.222  0.222  0.222
Lu  0.778  0.778  0.778

Calculated values
For the energy above the most stable polymorph in this dataset, the calculation gives 0.0 meV per atom. As for the formation energy: 0 meV per atom. The total energy comes out at -38.080 eV/atom.

---

# 2
The following is a r2SCAN calculation of an optimized crystal structure of Lu, from the Materials Project.

Lattice parameters (Å, degrees): 3.385 3.385 3.385 109.47 109.47 109.47
Fractional positions:
Lu  0.000  0.000  0.000

Calculated values
For the energy above the most stable polymorph in this dataset, the calculation gives 102.9 meV per atom. As for the formation energy: 103 meV per atom. The total energy comes out at -37.977 eV/atom.

---

# 3
The following is a r2SCAN calculation of an optimized crystal structure of Lu5Mg24, from the Materials Project.

Lattice parameters (Å, degrees): 9.629 9.629 9.629 109.47 109.47 109.47
Fractional positions:
Lu  0.000  0.000  0.000
Lu  0.631  0.000  0.000
Lu  0.000  0.631  0.000
Lu  0.000  0.000  0.631
Lu  0.369  0.369  0.369
Mg  0.392  0.678  0.000
Mg  0.714  0.322  0.322
Mg  0.392  0.000  0.678
Mg  0.678  0.392  0.000
Mg  0.000  0.392  0.678
Mg  0.322  0.714  0.322
Mg  0.322  0.322  0.714
Mg  0.000  0.678  0.392
Mg  0.678  0.000  0.392
Mg  0.608  0.608  0.286
Mg  0.286  0.608  0.608
Mg  0.608  0.286  0.608
Mg  0.372  0.191  0.000
Mg  0.182  0.809  0.809
Mg  0.372  0.000  0.191
Mg  0.191  0.372  0.000
Mg  0.000  0.372  0.191
Mg  0.809  0.182  0.809
Mg  0.809  0.809  0.182
Mg  0.000  0.191  0.372
Mg  0.191  0.000  0.372
Mg  0.628  0.628  0.818
Mg  0.818  0.628  0.628
Mg  0.628  0.818  0.628

Calculated values
As for the formation energy: -25 meV per atom. The total energy comes out at -10.041 eV/atom.

---

# 4
The following is a r2SCAN calculation of an optimized crystal structure of LuMg, from the Materials Project.

Lattice parameters (Å, degrees): 3.716 3.716 3.716 90.00 90.00 90.00
Fractional positions:
Lu  0.500  0.500  0.500
Mg  0.000  0.000  0.000

Calculated values
As for the formation energy: -60 meV per atom. The total energy comes out at -21.184 eV/atom.

---

# 5
The following is a r2SCAN calculation of an optimized crystal structure of LuMg3, from the Materials Project.

Lattice parameters (Å, degrees): 6.553 6.553 5.170 90.00 90.00 120.00
Fractional positions:
Lu  0.667  0.333  0.250
Lu  0.333  0.667  0.750
Mg  0.165  0.329  0.250
Mg  0.165  0.835  0.250
Mg  0.671  0.835  0.250
Mg  0.329  0.165  0.750
Mg  0.835  0.165  0.750
Mg  0.835  0.671  0.750

Calculated values
As for the formation energy: -22 meV per atom. The total energy comes out at -12.669 eV/atom.

---

# 6
The following is a r2SCAN calculation of an optimized crystal structure of LuMg3, from the Materials Project.

Lattice parameters (Å, degrees): 4.588 4.588 4.588 90.00 90.00 90.00
Fractional positions:
Lu  0.000  0.000  0.000
Mg  0.500  0.500  0.000
Mg  0.500  0.000  0.500
Mg  0.000  0.500  0.500

Calculated values
As for the formation energy: -19 meV per atom. The total energy comes out at -12.666 eV/atom.

---

# 7
The following is a r2SCAN calculation of an optimized crystal structure of LuMg3, from the Materials Project.

Lattice parameters (Å, degrees): 5.109 5.109 5.109 60.00 60.00 60.00
Fractional positions:
Lu  0.000  0.000  0.000
Mg  0.500  0.500  0.500
Mg  0.750  0.750  0.750
Mg  0.250  0.250  0.250

Calculated values
As for the formation energy: -25 meV per atom. The total energy comes out at -12.672 eV/atom.

---

# 8
The following is a r2SCAN calculation of an optimized crystal structure of Lu2MgSnO6, from the Materials Project.

Lattice parameters (Å, degrees): 5.489 5.489 5.489 60.00 60.00 60.00
Fractional positions:
Lu  0.250  0.250  0.250
Lu  0.750  0.750  0.750
Mg  0.000  0.000  0.000
Sn  0.500  0.500  0.500
O  0.753  0.247  0.247
O  0.247  0.753  0.753
O  0.247  0.753  0.247
O  0.753  0.247  0.753
O  0.247  0.247  0.753
O  0.753  0.753  0.247

Calculated values
As for the formation energy: -2579 meV per atom. The total energy comes out at -16.670 eV/atom.